# 1
{"formula": "CoMoP2", "functional": "PBE-GGA", "state": "relaxed", "mass_density_g_cm3": 6.81, "volume_a3_per_cell": 105.8, "formation_energy_ev_per_atom": -0.63, "total_energy_ev_per_cell": -62.58, "cell": [[3.309, 0.000, 0.000], [-1.654, 2.865, 0.000], [0.000, 0.000, 11.158]], "species": ["Co", "Co", "Mo", "Mo", "P", "P", "P", "P"], "fractional_positions": [[0.000, 0.000, 0.000], [0.000, 0.000, 0.500], [0.000, 0.000, 0.250], [0.000, 0.000, 0.750], [0.333, 0.667, 0.109], [0.333, 0.667, 0.391], [0.667, 0.333, 0.609], [0.667, 0.333, 0.891]]}


# 2
{"formula": "CoMoP2", "functional": "PBE-GGA", "state": "relaxed", "mass_density_g_cm3": 6.73, "magmom_total_mub_per_cell": 0.0, "volume_a3_per_cell": 107.0, "formation_energy_ev_per_atom": -0.49, "total_energy_ev_per_cell": -61.48, "cell": [[3.300, 0.000, 0.000], [-1.650, 2.858, 0.000], [0.000, 0.000, 11.339]], "species": ["Co", "Co", "Mo", "Mo", "P", "P", "P", "P"], "fractional_positions": [[0.000, 0.000, 0.250], [0.000, 0.000, 0.750], [0.000, 0.000, 0.000], [0.000, 0.000, 0.500], [0.333, 0.667, 0.142], [0.333, 0.667, 0.358], [0.667, 0.333, 0.642], [0.667, 0.333, 0.858]]}


# 3
{"formula": "CoRe2Mo2S8", "functional": "PBE-GGA", "state": "relaxed", "mass_density_g_cm3": 6.45, "magmom_total_mub_per_cell": 3.0, "volume_a3_per_cell": 226.4, "formation_energy_ev_per_atom": -0.91, "total_energy_ev_per_cell": -94.53, "cell": [[-3.405, 3.434, 4.840], [3.405, -3.434, 4.840], [3.405, 3.434, -4.840]], "species": ["Co", "Re", "Re", "Mo", "Mo", "S", "S", "S", "S", "S", "S", "S", "S"], "fractional_positions": [[0.000, 0.000, 0.000], [0.395, 0.187, 0.792], [0.395, 0.603, 0.208], [0.396, 0.602, 0.794], [0.808, 0.602, 0.206], [0.095, 0.363, 0.732], [0.136, 0.402, 0.266], [0.136, 0.870, 0.734], [0.140, 0.867, 0.273], [0.594, 0.867, 0.727], [0.630, 0.363, 0.268], [0.633, 0.361, 0.728], [0.633, 0.904, 0.272]]}


# 4
{"formula": "CoMo2S4", "functional": "PBE-GGA", "state": "relaxed", "mass_density_g_cm3": 5.70, "magmom_total_mub_per_cell": 4.5, "volume_a3_per_cell": 441.5, "formation_energy_ev_per_atom": -0.89, "de_polymorph_mev_per_atom": 9, "total_energy_ev_per_cell": -198.12, "cell": [[5.958, -3.286, 0.000], [5.958, 3.286, 0.000], [-5.523, 0.000, 11.275]], "species": ["Co", "Co", "Co", "Co", "Mo", "Mo", "Mo", "Mo", "Mo", "Mo", "Mo", "Mo", "S", "S", "S", "S", "S", "S", "S", "S", "S", "S", "S", "S", "S", "S", "S", "S"], "fractional_positions": [[0.120, 0.880, 0.500], [0.384, 0.636, 0.001], [0.636, 0.384, 0.501], [0.880, 0.120, 0.000], [0.050, 0.267, 0.261], [0.245, 0.456, 0.745], [0.267, 0.050, 0.761], [0.456, 0.245, 0.245], [0.517, 0.811, 0.262], [0.704, 0.983, 0.743], [0.811, 0.517, 0.762], [0.983, 0.704, 0.243], [0.090, 0.338, 0.099], [0.118, 0.862, 0.134], [0.135, 0.888, 0.864], [0.176, 0.416, 0.906], [0.338, 0.090, 0.599], [0.378, 0.618, 0.642], [0.386, 0.653, 0.371], [0.416, 0.176, 0.406], [0.597, 0.857, 0.107], [0.618, 0.378, 0.142], [0.653, 0.386, 0.871], [0.656, 0.905, 0.897], [0.857, 0.597, 0.607], [0.862, 0.118, 0.634], [0.888, 0.135, 0.364], [0.905, 0.656, 0.397]]}


# 5
{"formula": "CoMo2S4", "functional": "PBE-GGA", "state": "relaxed", "mass_density_g_cm3": 5.87, "magmom_total_mub_per_cell": 0.5, "volume_a3_per_cell": 428.9, "formation_energy_ev_per_atom": -0.89, "de_polymorph_mev_per_atom": 2, "total_energy_ev_per_cell": -198.31, "cell": [[5.938, -3.217, 0.000], [5.938, 3.217, 0.000], [-5.222, 0.000, 11.226]], "species": ["Co", "Co", "Co", "Co", "Mo", "Mo", "Mo", "Mo", "Mo", "Mo", "Mo", "Mo", "S", "S", "S", "S", "S", "S", "S", "S", "S", "S", "S", "S", "S", "S", "S", "S"], "fractional_positions": [[0.124, 0.876, 0.500], [0.371, 0.622, 0.000], [0.622, 0.371, 0.500], [0.876, 0.124, 0.000], [0.030, 0.289, 0.258], [0.205, 0.473, 0.737], [0.289, 0.030, 0.758], [0.473, 0.205, 0.237], [0.534, 0.776, 0.257], [0.725, 0.956, 0.737], [0.776, 0.534, 0.757], [0.956, 0.725, 0.237], [0.091, 0.342, 0.098], [0.110, 0.865, 0.130], [0.138, 0.885, 0.867], [0.156, 0.409, 0.898], [0.342, 0.091, 0.598], [0.357, 0.614, 0.629], [0.383, 0.633, 0.363], [0.409, 0.156, 0.398], [0.585, 0.834, 0.093], [0.614, 0.357, 0.129], [0.633, 0.383, 0.863], [0.663, 0.909, 0.900], [0.834, 0.585, 0.593], [0.865, 0.110, 0.630], [0.885, 0.138, 0.367], [0.909, 0.663, 0.400]]}


# 6
{"formula": "CoMo2S4", "functional": "PBE-GGA", "state": "relaxed", "mass_density_g_cm3": 5.88, "magmom_total_mub_per_cell": 0.0, "volume_a3_per_cell": 107.1, "formation_energy_ev_per_atom": -0.89, "de_polymorph_mev_per_atom": 0, "total_energy_ev_per_cell": -49.59, "cell": [[6.198, -1.604, 0.000], [6.198, 1.604, 0.000], [-2.494, 0.000, 5.389]], "species": ["Co", "Mo", "Mo", "S", "S", "S", "S"], "fractional_positions": [[0.000, 0.000, 0.000], [0.261, 0.261, 0.317], [0.739, 0.739, 0.683], [0.098, 0.098, 0.428], [0.368, 0.368, 0.024], [0.632, 0.632, 0.976], [0.902, 0.902, 0.572]]}


# 7
{"formula": "CoMo12Se16", "functional": "PBE-GGA", "state": "relaxed", "mass_density_g_cm3": 6.68, "magmom_total_mub_per_cell": 1.2, "volume_a3_per_cell": 614.9, "formation_energy_ev_per_atom": -0.75, "total_energy_ev_per_cell": -207.28, "cell": [[9.330, 0.000, 0.000], [4.343, 8.345, 0.000], [4.359, 2.675, 7.898]], "species": ["Co", "Mo", "Mo", "Mo", "Mo", "Mo", "Mo", "Mo", "Mo", "Mo", "Mo", "Mo", "Mo", "Se", "Se", "Se", "Se", "Se", "Se", "Se", "Se", "Se", "Se", "Se", "Se", "Se", "Se", "Se", "Se"], "fractional_positions": [[0.000, 0.000, 0.000], [0.023, 0.928, 0.596], [0.072, 0.843, 0.320], [0.149, 0.117, 0.284], [0.251, 0.473, 0.018], [0.334, 0.747, 0.970], [0.383, 0.662, 0.696], [0.522, 0.427, 0.100], [0.569, 0.343, 0.829], [0.653, 0.616, 0.780], [0.751, 0.980, 0.514], [0.833, 0.248, 0.474], [0.876, 0.168, 0.202], [0.079, 0.783, 0.891], [0.093, 0.186, 0.542], [0.209, 0.546, 0.268], [0.214, 0.038, 0.027], [0.309, 0.403, 0.759], [0.318, 0.799, 0.405], [0.447, 0.176, 0.144], [0.458, 0.912, 0.654], [0.581, 0.292, 0.396], [0.596, 0.684, 0.038], [0.696, 0.540, 0.532], [0.708, 0.048, 0.768], [0.807, 0.892, 0.263], [0.823, 0.291, 0.905], [0.949, 0.678, 0.638], [0.950, 0.416, 0.159]]}


# 8
{"formula": "Co3SiMo2", "functional": "PBE-GGA", "state": "relaxed", "mass_density_g_cm3": 9.04, "volume_a3_per_cell": 145.7, "formation_energy_ev_per_atom": -0.30, "total_energy_ev_per_cell": -100.50, "cell": [[4.769, 0.000, 0.000], [-2.384, 4.130, 0.000], [0.000, 0.000, 7.400]], "species": ["Co", "Co", "Co", "Co", "Co", "Co", "Si", "Si", "Mo", "Mo", "Mo", "Mo"], "fractional_positions": [[0.171, 0.343, 0.250], [0.171, 0.829, 0.250], [0.343, 0.171, 0.750], [0.657, 0.829, 0.250], [0.829, 0.171, 0.750], [0.829, 0.657, 0.750], [0.000, 0.000, 0.000], [0.000, 0.000, 0.500], [0.333, 0.667, 0.567], [0.333, 0.667, 0.933], [0.667, 0.333, 0.067], [0.667, 0.333, 0.433]]}


# 9
{"formula": "SmCo10Mo2", "functional": "PBE-GGA", "state": "relaxed", "mass_density_g_cm3": 9.16, "magmom_total_mub_per_cell": 12.5, "volume_a3_per_cell": 168.9, "formation_energy_ev_per_atom": -0.01, "total_energy_ev_per_cell": -97.62, "cell": [[-2.339, 4.241, 4.256], [2.339, -4.241, 4.256], [2.339, 4.241, -4.256]], "species": ["Sm", "Co", "Co", "Co", "Co", "Co", "Co", "Co", "Co", "Co", "Co", "Mo", "Mo"], "fractional_positions": [[0.000, 0.000, 0.000], [0.000, 0.000, 0.500], [0.000, 0.500, 0.000], [0.211, 0.500, 0.711], [0.226, 0.726, 0.500], [0.360, 0.000, 0.360], [0.500, 0.000, 0.000], [0.500, 0.500, 0.500], [0.640, 0.000, 0.640], [0.774, 0.274, 0.500], [0.789, 0.500, 0.289], [0.359, 0.359, 0.000], [0.641, 0.641, 0.000]]}


# 10
{"formula": "Ta3Co2Mo", "functional": "PBE-GGA", "state": "relaxed", "mass_density_g_cm3": 13.83, "volume_a3_per_cell": 90.9, "formation_energy_ev_per_atom": -0.19, "total_energy_ev_per_cell": -61.80, "cell": [[0.000, 4.325, 4.262], [2.465, 0.000, 4.262], [2.465, 4.325, 0.000]], "species": ["Ta", "Ta", "Ta", "Co", "Co", "Mo"], "fractional_positions": [[0.000, 0.000, 0.000], [0.498, 0.819, 0.181], [0.819, 0.498, 0.502], [0.408, 0.408, 0.092], [0.908, 0.908, 0.592], [0.317, 0.317, 0.683]]}


# 11
{"formula": "TaCo6Mo", "functional": "PBE-GGA", "state": "relaxed", "mass_density_g_cm3": 10.87, "volume_a3_per_cell": 96.3, "formation_energy_ev_per_atom": -0.14, "total_energy_ev_per_cell": -66.49, "cell": [[5.176, 0.000, 0.000], [-2.588, 4.483, 0.000], [0.000, 0.000, 4.149]], "species": ["Ta", "Co", "Co", "Co", "Co", "Co", "Co", "Mo"], "fractional_positions": [[0.000, 0.000, 0.000], [0.009, 0.504, 0.000], [0.175, 0.350, 0.500], [0.175, 0.825, 0.500], [0.496, 0.504, 0.000], [0.496, 0.991, 0.000], [0.650, 0.825, 0.500], [0.667, 0.333, 0.500]]}


# 12
{"formula": "CoTeMo", "functional": "PBE-GGA", "state": "relaxed", "mass_density_g_cm3": 8.70, "magmom_total_mub_per_cell": 0.0, "volume_a3_per_cell": 107.8, "formation_energy_ev_per_atom": 0.43, "de_polymorph_mev_per_atom": 0, "total_energy_ev_per_cell": -39.64, "cell": [[3.792, 0.000, 0.000], [0.000, 4.831, 0.000], [0.000, 0.000, 5.884]], "species": ["Co", "Co", "Te", "Te", "Mo", "Mo"], "fractional_positions": [[0.250, 0.250, 0.249], [0.750, 0.750, 0.751], [0.250, 0.750, 0.452], [0.750, 0.250, 0.548], [0.250, 0.750, 0.000], [0.750, 0.250, 0.000]]}